Record 1
First-principles (PBE-GGA) data for Zn2Cu9O13 after structural relaxation, as listed in Materials Project.

Its formation energy is -933.4 meV per atom. The mass density is 6.48 Mg/m³. The total DFT energy (no corrections) comes out at -4.88 eV per atom.

Lattice parameters (Å, degrees): 5.1300 5.1300 16.3512 82.05 82.05 33.25
Closest atoms and distances in Å follow each position.
Positions (direct):
Zn1 0.7859 0.7859 0.2273  2 O 2.02
Zn2 0.2141 0.2141 0.7727  2 O 2.02
Cu1 0.5000 0.5000 0.5000  6 O 1.99-2.06
Cu2 0.3565 0.3565 0.0412  6 O 1.91-2.12
Cu3 0.6435 0.6435 0.9588  6 O 1.91-2.12
Cu4 0.2517 0.2517 0.4185  6 O 1.92-2.14
Cu5 0.7483 0.7483 0.5815  6 O 1.92-2.14
Cu6 0.0678 0.0678 0.1228  5 O 1.96-2.07
Cu7 0.9322 0.9322 0.8772  5 O 1.96-2.07
Cu8 0.0091 0.0091 0.3324  5 O 2.02-2.05
Cu9 0.9909 0.9909 0.6676  5 O 2.02-2.05
O1 0.0000 0.0000 0.0000  6 Cu 2.08-2.21
O2 0.1446 0.1446 0.2269  2 Cu 1.96-2.02, 2 Zn 2.02
O3 0.8554 0.8554 0.7731  2 Cu 1.96-2.02, 2 Zn 2.02
O4 0.7015 0.7015 0.0704  5 Cu 1.99-2.12
O5 0.2985 0.2985 0.9296  5 Cu 1.99-2.12
O6 0.4204 0.4204 0.1458  3 Cu 1.91-2.06
O7 0.5796 0.5796 0.8542  3 Cu 1.91-2.06
O8 0.3743 0.3743 0.3159  3 Cu 1.92-2.02
O9 0.6257 0.6257 0.6841  3 Cu 1.92-2.02
O10 0.6090 0.6090 0.3878  5 Cu 1.99-2.14
O11 0.3910 0.3910 0.6122  5 Cu 1.99-2.14
O12 0.8691 0.8691 0.4703  5 Cu 2.02-2.12
O13 0.1309 0.1309 0.5297  5 Cu 2.02-2.12


Record 2
First-principles (PBE-GGA) data for Zr7V5N2 after structural relaxation, as listed in Materials Project.

Its formation energy is -520.1 meV per atom. The mass density is 6.56 Mg/m³. The total DFT energy (no corrections) comes out at -9.18 eV per atom.

Lattice parameters (Å, degrees): 8.7046 8.7046 8.7046 120.17 119.78 90.04
Closest atoms and distances in Å follow each position.
Positions (direct):
Zr1 0.1902 0.9402 0.2500  2 N 2.30
Zr2 0.5612 0.3112 0.2500  2 N 2.30
Zr3 0.1887 0.9426 0.8783  2 N 2.29-2.31
Zr4 0.5643 0.3104 0.6217  2 N 2.29-2.31
Zr5 0.5643 0.9426 0.2539  2 N 2.29-2.31
Zr6 0.1887 0.3104 0.2461  2 N 2.29-2.31
Zr7 0.8098 0.0598 0.7500  2 N 2.30
Zr8 0.4388 0.6888 0.7500  2 N 2.30
Zr9 0.8113 0.0574 0.1217  2 N 2.29-2.31
Zr10 0.4357 0.6896 0.3783  2 N 2.29-2.31
Zr11 0.4357 0.0574 0.7461  2 N 2.29-2.31
Zr12 0.8113 0.6896 0.7539  2 N 2.29-2.31
Zr13 0.5000 0.5000 0.0000  6 V 2.72-2.76
Zr14 0.0000 0.5000 0.5000  6 V 2.72-2.76
V1 0.1133 0.7131 0.4001  5 V 2.58-2.72, 1 Zr 2.76
V2 0.8130 0.7131 0.0999  5 V 2.58-2.72, 1 Zr 2.76
V3 0.8090 0.7257 0.4167  3 V 2.46-2.72, 2 Zr 2.72
V4 0.8090 0.3924 0.0833  3 V 2.46-2.72, 2 Zr 2.72
V5 0.8867 0.2869 0.5999  5 V 2.58-2.72, 1 Zr 2.76
V6 0.1870 0.2869 0.9001  5 V 2.58-2.72, 1 Zr 2.76
V7 0.1910 0.2743 0.5833  3 V 2.46-2.72, 2 Zr 2.72
V8 0.1910 0.6076 0.9167  3 V 2.46-2.72, 2 Zr 2.72
V9 0.0000 0.5000 0.0000  6 V 2.46-2.58
V10 0.0000 0.0000 0.5000  6 V 2.46-2.58
N1 0.0000 0.0000 0.0000  6 Zr 2.29-2.30
N2 0.5000 0.0000 0.5000  6 Zr 2.29-2.30
N3 0.5000 0.0000 0.0000  6 Zr 2.30-2.31
N4 0.5000 0.5000 0.5000  6 Zr 2.30-2.31


Record 3
First-principles (PBE-GGA) data for Sr2MgReO6 after structural relaxation, as listed in Materials Project.

Its formation energy is -2867.3 meV per atom. The mass density is 6.30 Mg/m³. The total DFT energy (no corrections) comes out at -7.17 eV per atom.

Lattice parameters (Å, degrees): 5.6425 5.6425 5.6425 60.00 60.00 60.00
Closest atoms and distances in Å follow each position.
Positions (direct):
Sr1 0.7500 0.7500 0.7500  12 O 2.82
Sr2 0.2500 0.2500 0.2500  12 O 2.82
Mg1 0.5000 0.5000 0.5000  6 O 2.06
Re1 0.0000 0.0000 0.0000  6 O 1.93
O1 0.7576 0.2424 0.7576  1 Re 1.93, 1 Mg 2.06
O2 0.7576 0.2424 0.2424  1 Re 1.93, 1 Mg 2.06
O3 0.2424 0.7576 0.7576  1 Re 1.93, 1 Mg 2.06
O4 0.2424 0.7576 0.2424  1 Re 1.93, 1 Mg 2.06
O5 0.2424 0.2424 0.7576  1 Re 1.93, 1 Mg 2.06
O6 0.7576 0.7576 0.2424  1 Re 1.93, 1 Mg 2.06


Record 4
First-principles (PBE-GGA) data for Tl2SnHgSe4 after structural relaxation, as listed in Materials Project.

Its formation energy is -585.5 meV per atom. The mass density is 7.18 Mg/m³. The total DFT energy (no corrections) comes out at -3.23 eV per atom.

Lattice parameters (Å, degrees): 6.8292 6.8292 6.8292 105.55 105.55 117.63
Closest atoms and distances in Å follow each position.
Positions (direct):
Tl1 0.5000 0.0000 0.5000  8 Se 3.47-3.61, 2 Tl 3.54
Tl2 0.0000 0.5000 0.5000  8 Se 3.47-3.61, 2 Tl 3.54
Sn1 0.0000 0.0000 0.0000  4 Se 2.59
Hg1 0.5000 0.5000 0.0000  4 Se 2.77
Se1 0.9410 0.5977 0.0000  1 Sn 2.59, 1 Hg 2.77
Se2 0.5977 0.9410 0.0000  1 Sn 2.59, 1 Hg 2.77
Se3 0.0590 0.0590 0.6567  1 Sn 2.59, 1 Hg 2.77
Se4 0.4023 0.4023 0.3433  1 Sn 2.59, 1 Hg 2.77